No. 1
The following is a PBE calculation of crystalline CuH8C2N2Cl4 at its relaxed geometry, from the Materials Project database.

Calculated volume in Å³ per cell: 553.3
Magnetic moment in μB/f.u.: 0.03
E_form in meV per atom: -113.9
Total energy after the MP2020 corrections in eV per atom: -4.45

Geometry as extended XYZ:
```
34
Lattice="15.228 0.000 0.000 0.000 6.155 0.000 -0.219 0.000 5.904" Properties=species:S:1:pos:R:3 pbc="T T T"
Cu 0.000 0.000 0.000
Cu -0.109 3.077 2.952
H 2.529 0.571 5.205
H 2.638 2.506 2.253
H 5.571 1.512 1.187
H 5.461 1.566 4.138
H 5.607 3.451 0.993
H 5.498 5.781 3.945
H 7.325 0.026 0.240
H 7.215 3.052 3.191
H 7.793 3.103 2.712
H 7.684 6.129 5.664
H 9.511 0.374 1.959
H 9.401 2.704 4.911
H 9.547 4.589 1.765
H 9.438 4.643 4.717
H 12.370 3.649 3.650
H 12.480 5.584 0.699
C 5.510 0.531 3.308
C 5.620 2.547 0.356
C 9.389 3.608 5.548
C 9.498 5.624 2.596
N 5.564 0.474 2.086
N 5.454 2.604 5.037
N 9.555 3.551 0.866
N 9.445 5.681 3.818
Cl 0.607 1.217 1.818
Cl 0.498 1.860 4.770
Cl 3.167 3.597 2.717
Cl 3.058 5.636 5.669
Cl 11.951 0.519 0.234
Cl 11.841 2.558 3.186
Cl 14.511 4.295 1.134
Cl 14.402 4.938 4.086
```

***

No. 2
The following is a PBE calculation of crystalline CuH12CN6Cl4O at its relaxed geometry, from the Materials Project database.

Calculated volume in Å³ per cell: 2274.2
Magnetic moment in μB/f.u.: 1.04
E_form in meV per atom: -379.0
Total energy after the MP2020 corrections in eV per atom: -5.04

Geometry as extended XYZ:
```
200
Lattice="10.395 0.000 0.000 0.000 11.640 0.000 0.000 0.000 18.796" Properties=species:S:1:pos:R:3 pbc="T T T"
Cu 0.153 2.810 0.269
Cu 0.153 3.011 9.667
Cu 5.044 8.630 0.269
Cu 5.044 8.831 9.667
Cu 5.351 2.810 9.128
Cu 5.351 3.011 18.526
Cu 10.241 8.630 9.128
Cu 10.241 8.831 18.526
H 0.094 2.520 13.570
H 0.094 3.300 4.172
H 0.361 6.421 10.501
H 0.361 11.039 1.104
H 0.695 7.475 12.685
H 0.695 9.985 3.287
H 0.994 5.833 16.956
H 0.994 11.627 7.559
H 1.170 1.173 5.501
H 1.170 4.647 14.899
H 1.594 0.527 9.002
H 1.594 5.293 18.400
H 1.604 2.428 3.810
H 1.604 3.393 13.208
H 1.615 1.983 14.170
H 1.615 3.837 4.772
H 1.634 7.532 10.557
H 1.634 9.929 1.159
H 2.411 1.008 7.619
H 2.411 4.813 17.017
H 2.550 7.299 2.219
H 2.550 10.161 11.617
H 2.601 0.675 3.605
H 2.601 5.145 13.003
H 2.596 6.495 3.605
H 2.596 10.965 13.003
H 2.647 1.479 2.219
H 2.647 4.341 11.617
H 2.787 6.828 7.619
H 2.787 10.633 17.017
H 3.563 1.712 10.557
H 3.563 4.108 1.159
H 3.582 7.803 14.170
H 3.582 9.657 4.772
H 3.593 8.248 3.810
H 3.593 9.213 13.208
H 3.604 6.348 9.002
H 3.604 11.113 18.400
H 4.027 6.993 5.501
H 4.027 10.468 14.899
H 4.204 0.013 16.956
H 4.204 5.807 7.559
H 4.502 1.655 12.685
H 4.502 4.165 3.287
H 4.836 0.601 10.501
H 4.836 5.219 1.104
H 5.104 8.340 13.570
H 5.104 9.120 4.172
H 5.291 2.520 14.624
H 5.291 3.300 5.226
H 5.559 6.421 17.692
H 5.559 11.039 8.294
H 5.892 7.475 15.509
H 5.892 9.985 6.111
H 6.191 5.833 11.237
H 6.191 11.627 1.839
H 6.367 1.173 3.897
H 6.367 4.647 13.294
H 6.791 0.527 0.395
H 6.791 5.293 9.793
H 6.802 2.428 5.588
H 6.802 3.393 14.986
H 6.813 1.983 14.024
H 6.813 3.837 4.626
H 6.831 7.532 17.637
H 6.831 9.929 8.239
H 7.608 1.008 1.778
H 7.608 4.813 11.176
H 7.748 7.299 7.179
H 7.748 10.161 16.577
H 7.799 0.675 5.793
H 7.799 5.145 15.191
H 7.793 6.495 5.793
H 7.793 10.965 15.191
H 7.844 1.479 7.179
H 7.844 4.341 16.577
H 7.984 6.828 1.778
H 7.984 10.633 11.176
H 8.761 1.712 17.637
H 8.761 4.108 8.239
H 8.779 7.803 14.024
H 8.779 9.657 4.626
H 8.790 8.248 5.588
H 8.790 9.213 14.986
H 8.801 6.348 0.395
H 8.801 11.113 9.793
H 9.225 6.993 3.897
H 9.225 10.468 13.294
H 9.401 0.013 11.237
H 9.401 5.807 1.839
H 9.700 1.655 15.509
H 9.700 4.165 6.111
H 10.033 0.601 17.692
H 10.033 5.219 8.294
H 10.301 8.340 14.624
H 10.301 9.120 5.226
C 0.454 2.603 6.874
C 0.454 3.217 16.272
C 4.743 8.423 6.874
C 4.743 9.037 16.272
C 5.651 2.603 2.524
C 5.651 3.217 11.922
C 9.941 8.423 2.524
C 9.941 9.037 11.922
N 0.156 7.832 11.875
N 0.156 9.628 2.477
N 0.598 1.952 8.016
N 0.598 3.868 17.413
N 0.611 7.416 10.604
N 0.611 10.044 1.206
N 0.915 2.158 5.680
N 0.915 3.663 15.078
N 1.011 2.816 13.951
N 1.011 3.004 4.553
N 1.446 0.814 8.007
N 1.446 5.006 17.405
N 3.751 6.634 8.007
N 3.751 10.826 17.405
N 4.186 8.637 13.951
N 4.186 8.824 4.553
N 4.282 7.978 5.680
N 4.282 9.483 15.078
N 4.586 1.596 10.604
N 4.586 4.224 1.206
N 4.599 7.772 8.016
N 4.599 9.688 17.413
N 5.041 2.012 11.875
N 5.041 3.808 2.477
N 5.353 7.832 16.319
N 5.353 9.628 6.921
N 5.795 1.952 1.382
N 5.795 3.868 10.780
N 5.808 7.416 17.590
N 5.808 10.044 8.192
N 6.112 2.158 3.718
N 6.112 3.663 13.116
N 6.208 2.816 14.243
N 6.208 3.004 4.845
N 6.644 0.814 1.391
N 6.644 5.006 10.789
N 8.948 6.634 1.391
N 8.948 10.826 10.789
N 9.383 8.637 14.243
N 9.383 8.824 4.845
N 9.480 7.978 3.718
N 9.480 9.483 13.116
N 9.784 1.596 17.590
N 9.784 4.224 8.192
N 9.797 7.772 1.382
N 9.797 9.688 10.780
N 10.239 2.012 16.319
N 10.239 3.808 6.921
Cl 0.699 7.276 7.481
Cl 0.699 10.184 16.879
Cl 0.936 1.383 11.075
Cl 0.936 4.437 1.677
Cl 1.774 6.685 14.395
Cl 1.774 10.775 4.997
Cl 2.565 1.562 0.185
Cl 2.565 4.258 9.583
Cl 2.632 7.382 0.185
Cl 2.632 10.078 9.583
Cl 3.423 0.865 14.395
Cl 3.423 4.955 4.997
Cl 4.261 7.203 11.075
Cl 4.261 10.257 1.677
Cl 4.498 1.456 7.481
Cl 4.498 4.364 16.879
Cl 5.896 7.276 1.916
Cl 5.896 10.184 11.314
Cl 6.134 1.383 17.119
Cl 6.134 4.437 7.721
Cl 6.971 6.685 13.799
Cl 6.971 10.775 4.401
Cl 7.763 1.562 9.213
Cl 7.763 4.258 18.611
Cl 7.829 7.382 9.213
Cl 7.829 10.078 18.611
Cl 8.621 0.865 13.799
Cl 8.621 4.955 4.401
Cl 9.458 7.203 17.119
Cl 9.458 10.257 7.721
Cl 9.696 1.456 1.916
Cl 9.696 4.364 11.314
O 2.493 7.397 3.219
O 2.493 10.064 12.616
O 2.704 1.577 3.219
O 2.704 4.244 12.616
O 7.690 7.397 6.179
O 7.690 10.064 15.577
O 7.902 1.577 6.179
O 7.902 4.244 15.577
```

***

No. 3
The following is a PBE calculation of crystalline CuH9C3NCl2O2 at its relaxed geometry, from the Materials Project database.

Calculated volume in Å³ per cell: 896.4
Magnetic moment in μB/f.u.: 1.00
E_form in meV per atom: -535.1
Total energy after the MP2020 corrections in eV per atom: -5.22

Geometry as extended XYZ:
```
72
Lattice="9.752 0.000 0.000 0.000 12.711 0.000 -0.613 0.000 7.232" Properties=species:S:1:pos:R:3 pbc="T T T"
Cu 1.269 2.463 0.977
Cu 0.963 3.892 4.592
Cu 8.176 8.819 2.639
Cu 7.870 10.248 6.255
H -0.045 7.884 0.843
H -0.352 11.182 4.459
H 0.197 0.323 1.854
H -0.110 6.033 5.469
H 2.210 8.856 3.494
H 1.904 10.211 7.110
H 2.238 1.242 5.949
H 2.545 5.114 2.333
H 3.000 8.033 1.027
H 2.694 11.034 4.643
H 2.734 7.762 4.804
H 3.040 11.305 1.188
H 3.649 6.367 0.981
H 3.343 12.700 4.596
H 3.963 8.642 3.821
H 4.270 10.424 0.205
H 4.634 7.701 1.673
H 4.327 11.366 5.289
H 4.812 1.345 1.943
H 4.505 5.010 5.559
H 4.869 2.287 7.026
H 5.175 4.069 3.411
H 5.796 0.012 2.635
H 5.490 6.344 6.251
H 6.098 1.406 6.044
H 6.405 4.949 2.428
H 6.445 1.677 2.589
H 6.139 4.678 6.205
H 6.594 7.597 4.898
H 6.900 11.469 1.283
H 7.235 2.500 0.122
H 6.929 3.855 3.738
H 9.248 6.678 1.762
H 8.942 12.388 5.378
H 9.491 1.529 2.772
H 9.184 4.827 6.388
C 2.160 0.486 6.744
C 2.466 5.869 3.128
C 2.986 8.143 3.809
C 3.293 10.924 0.193
C 3.619 7.297 1.559
C 3.313 11.769 5.175
C 5.826 0.942 2.056
C 5.520 5.414 5.672
C 5.846 1.787 7.038
C 6.153 4.569 3.422
C 6.673 6.842 4.103
C 6.979 12.225 0.488
N 3.042 7.033 2.870
N 2.736 12.034 6.485
N 6.403 0.677 0.746
N 6.097 5.678 4.362
Cl -0.414 8.511 6.044
Cl -0.108 10.556 2.428
Cl 2.516 2.666 3.544
Cl 2.210 3.690 7.160
Cl 6.929 9.022 0.072
Cl 6.623 10.045 3.687
Cl 9.247 2.156 4.804
Cl 9.553 4.200 1.188
O -0.130 1.249 1.824
O -0.437 5.107 5.439
O 2.177 0.729 0.608
O 1.871 5.627 4.224
O 7.268 7.085 3.008
O 6.961 11.982 6.624
O 9.576 7.604 1.792
O 9.269 11.463 5.408
```

***

No. 4
The following is a PBE calculation of crystalline CuH18C4N10Cl2O2 at its relaxed geometry, from the Materials Project database.

Calculated volume in Å³ per cell: 760.7
Magnetic moment in μB/f.u.: 1.01
E_form in meV per atom: -421.0
Total energy after the MP2020 corrections in eV per atom: -5.80

Geometry as extended XYZ:
```
74
Lattice="6.910 0.000 0.000 -1.994 9.629 0.000 -3.210 -4.170 11.433" Properties=species:S:1:pos:R:3 pbc="T T T"
Cu -0.890 2.472 5.030
Cu 2.597 2.987 6.403
H -2.577 -3.406 9.552
H -3.245 -0.061 9.483
H -3.857 3.097 10.718
H -1.516 4.756 3.922
H -3.997 5.209 10.880
H -0.436 0.147 3.912
H -2.944 1.033 10.780
H -0.452 7.631 1.718
H -0.398 0.162 6.144
H -1.350 4.790 6.165
H -0.352 -2.505 7.872
H -0.134 -0.628 8.179
H 0.879 7.589 0.825
H -1.096 5.691 8.215
H 0.971 -2.167 7.085
H -0.314 0.383 9.569
H 2.453 0.809 1.890
H -0.503 2.558 9.364
H 2.209 2.901 2.068
H -0.747 4.649 9.543
H 2.020 5.075 1.864
H 0.735 7.625 4.347
H 2.803 -0.233 3.217
H 0.828 -2.131 10.607
H 1.841 6.086 3.253
H 2.059 7.963 3.561
H 3.056 0.668 5.267
H 2.105 5.296 5.288
H 2.158 -2.172 9.714
H 4.650 4.426 0.653
H 2.143 5.311 7.520
H 5.703 0.250 0.552
H 3.222 0.702 7.510
H 5.563 2.361 0.715
H 4.952 5.520 1.950
H 4.284 8.865 1.880
C -1.428 3.612 2.357
C -0.912 1.203 2.354
C -0.430 1.311 7.714
C -0.909 3.726 7.720
C 2.616 1.733 3.713
C 2.137 4.148 3.719
C 2.619 4.255 9.079
C 3.134 1.846 9.075
N -4.006 3.052 9.688
N -3.448 0.835 9.919
N -4.302 5.311 9.915
N -1.304 3.790 3.651
N -0.656 1.111 3.640
N -0.535 1.139 6.418
N -1.077 3.841 6.426
N -0.574 2.537 8.321
N -1.085 4.748 8.592
N -0.127 0.306 8.570
N 1.834 5.152 2.863
N 2.791 0.711 2.841
N 2.281 2.922 3.112
N 2.783 1.618 5.007
N 2.242 4.319 5.015
N 2.362 4.348 7.793
N 3.010 1.668 7.781
N 6.008 0.148 1.517
N 5.155 4.623 1.513
N 5.713 2.406 1.745
Cl -1.399 7.356 3.548
Cl -1.000 -1.380 11.403
Cl 2.707 6.839 0.030
Cl 3.105 -1.898 7.885
O -0.056 7.925 0.852
O 0.010 -2.384 6.976
O 1.696 7.843 4.457
O 1.763 -2.467 10.580
```